Run a
! PBE YSi2Rh3, optimized geometry; values from VASP
! * ρ: 7.723 g/cm³
&SYSTEM
  ibrav = 0, nat = 6, ntyp = 3
/
ATOMIC_SPECIES
Y 88.91 Y.upf
Si 28.09 Si.upf
Rh 102.91 Rh.upf
CELL_PARAMETERS angstrom
5.531 0.000 0.000
-2.765 4.790 0.000
0.000 0.000 3.683
ATOMIC_POSITIONS angstrom
Y 0.000 0.000 0.000
Si 0.000 3.193 0.000
Si 2.765 1.597 0.000
Rh -1.383 2.395 1.842
Rh 2.765 0.000 1.842
Rh 1.383 2.395 1.842



Run b
! PBE YSi2Rh3, optimized geometry; values from VASP
! * ρ: 7.823 g/cm³
&SYSTEM
  ibrav = 0, nat = 12, ntyp = 3
/
ATOMIC_SPECIES
Y 88.91 Y.upf
Si 28.09 Si.upf
Rh 102.91 Rh.upf
CELL_PARAMETERS angstrom
-3.598 4.819 2.778
3.598 -4.819 2.778
3.598 4.819 -2.778
ATOMIC_POSITIONS angstrom
Y 0.000 2.410 1.169
Y 3.598 2.410 1.608
Si 3.598 -0.761 1.087
Si 3.598 4.058 -1.087
Si 0.000 0.761 3.865
Si 0.000 5.580 1.691
Rh 1.799 2.410 -1.389
Rh 1.545 0.000 0.000
Rh 1.799 -2.410 1.389
Rh 5.650 0.000 0.000
Rh 1.545 4.819 0.000
Rh 2.053 0.000 2.778



Energy relative to the most stable one, in meV/atom: run a 40; run b 0



Run a
! PBE Sm2Si5Ru3, optimized geometry; values from VASP
! * ρ: 7.106 g/cm³
&SYSTEM
  ibrav = 0, nat = 40, ntyp = 3
/
ATOMIC_SPECIES
Sm 150.36 Sm.upf
Si 28.09 Si.upf
Ru 101.07 Ru.upf
CELL_PARAMETERS angstrom
11.060 0.000 0.000
0.000 11.060 0.000
0.000 0.000 5.688
ATOMIC_POSITIONS angstrom
Sm 1.011 2.424 0.000
Sm 2.424 10.049 0.000
Sm 3.106 4.519 2.844
Sm 4.519 7.954 2.844
Sm 6.541 3.106 2.844
Sm 7.954 6.541 2.844
Sm 8.636 1.011 0.000
Sm 10.049 8.636 0.000
Si 0.000 0.000 1.547
Si 0.000 0.000 4.140
Si 0.573 3.278 2.844
Si 1.553 7.083 1.422
Si 1.553 7.083 4.266
Si 2.252 4.957 0.000
Si 3.278 10.487 2.844
Si 3.977 1.553 1.422
Si 3.977 1.553 4.266
Si 4.957 8.808 0.000
Si 5.530 5.530 1.297
Si 5.530 5.530 4.391
Si 6.103 2.252 0.000
Si 7.083 9.507 1.422
Si 7.083 9.507 4.266
Si 7.782 0.573 2.844
Si 8.808 6.103 0.000
Si 9.507 3.977 1.422
Si 9.507 3.977 4.266
Si 10.487 7.782 2.844
Ru 0.000 5.530 0.000
Ru 0.000 5.530 2.844
Ru 1.196 9.317 2.844
Ru 1.743 1.196 2.844
Ru 3.787 6.726 0.000
Ru 4.334 3.787 0.000
Ru 5.530 0.000 0.000
Ru 5.530 0.000 2.844
Ru 6.726 7.273 0.000
Ru 7.273 4.334 0.000
Ru 9.317 9.865 2.844
Ru 9.865 1.743 2.844



Run b
! PBE Sm2Si5Ru3, optimized geometry; values from VASP
! * ρ: 7.397 g/cm³
&SYSTEM
  ibrav = 0, nat = 40, ntyp = 3
/
ATOMIC_SPECIES
Sm 150.36 Sm.upf
Si 28.09 Si.upf
Ru 101.07 Ru.upf
CELL_PARAMETERS angstrom
10.803 0.000 0.000
0.000 10.803 0.000
0.000 0.000 5.727
ATOMIC_POSITIONS angstrom
Sm 0.772 2.538 0.000
Sm 2.538 10.031 0.000
Sm 2.863 4.629 2.863
Sm 4.629 7.940 2.863
Sm 6.174 2.863 2.863
Sm 7.940 6.174 2.863
Sm 8.265 0.772 0.000
Sm 10.031 8.265 0.000
Si 0.000 0.000 1.525
Si 0.000 0.000 4.202
Si 0.239 3.466 2.863
Si 1.876 7.278 1.432
Si 1.876 7.278 4.295
Si 1.936 5.162 0.000
Si 3.466 10.564 2.863
Si 3.525 1.876 1.432
Si 3.525 1.876 4.295
Si 5.162 8.867 0.000
Si 5.402 5.402 1.339
Si 5.402 5.402 4.388
Si 5.641 1.936 0.000
Si 7.278 8.927 1.432
Si 7.278 8.927 4.295
Si 7.337 0.239 2.863
Si 8.867 5.641 0.000
Si 8.927 3.525 1.432
Si 8.927 3.525 4.295
Si 10.564 7.337 2.863
Ru 0.000 5.402 1.432
Ru 0.000 5.402 4.295
Ru 1.347 9.225 2.863
Ru 1.578 1.347 2.863
Ru 3.824 6.748 0.000
Ru 4.055 3.824 0.000
Ru 5.402 0.000 1.432
Ru 5.402 0.000 4.295
Ru 6.748 6.980 0.000
Ru 6.980 4.055 0.000
Ru 9.225 9.456 2.863
Ru 9.456 1.578 2.863



Energy relative to the most stable one, in meV/atom: run a 289; run b 0



Run a
! PBE U2Si3Ru, optimized geometry; values from VASP
! * ρ: 10.123 g/cm³
&SYSTEM
  ibrav = 0, nat = 6, ntyp = 3
/
ATOMIC_SPECIES
U 238.03 U.upf
Si 28.09 Si.upf
Ru 101.07 Ru.upf
CELL_PARAMETERS angstrom
3.674 0.000 0.000
0.000 4.168 0.000
0.000 0.000 7.084
ATOMIC_POSITIONS angstrom
U 0.000 0.000 0.000
U 0.000 2.084 3.473
Si 1.837 0.000 4.738
Si 1.837 2.084 1.097
Si 1.837 2.084 5.847
Ru 1.837 0.000 2.329



Run b
! PBE U2Si3Ru, optimized geometry; values from VASP
! * ρ: 9.970 g/cm³
&SYSTEM
  ibrav = 0, nat = 12, ntyp = 3
/
ATOMIC_SPECIES
U 238.03 U.upf
Si 28.09 Si.upf
Ru 101.07 Ru.upf
CELL_PARAMETERS angstrom
8.202 0.000 0.000
-4.101 7.103 0.000
0.000 0.000 3.782
ATOMIC_POSITIONS angstrom
U 0.000 0.000 0.000
U -2.051 3.552 0.000
U 4.101 0.000 0.000
U 2.051 3.552 0.000
Si 0.000 2.328 1.927
Si -2.085 5.939 1.927
Si 2.016 1.164 1.855
Si 2.085 5.939 1.927
Si 6.186 1.164 1.855
Si 4.101 4.775 1.855
Ru 0.000 4.735 1.788
Ru 4.101 2.368 1.994



Energy relative to the most stable one, in meV/atom: run a 17; run b 0



Run a
! PBE S, optimized geometry; values from VASP
! * ρ: 1.621 g/cm³
&SYSTEM
  ibrav = 0, nat = 72, ntyp = 1
/
ATOMIC_SPECIES
S 32.06 S.upf
CELL_PARAMETERS angstrom
8.500 0.000 0.000
0.000 14.997 0.000
-4.125 0.000 18.555
ATOMIC_POSITIONS angstrom
S -0.491 0.329 2.335
S -2.554 7.169 11.612
S -0.333 10.637 1.828
S -2.395 11.859 11.106
S -1.829 10.112 10.114
S 0.233 12.384 0.836
S -2.132 0.137 14.893
S -0.070 7.362 5.615
S -0.159 3.549 6.197
S -2.221 3.949 15.474
S -1.206 8.743 11.522
S 0.856 13.752 2.244
S -0.782 2.675 11.908
S 1.280 4.823 2.630
S 0.560 11.223 6.488
S -1.502 11.272 15.766
S -1.540 7.888 16.181
S 0.522 14.607 6.903
S -0.134 1.287 10.529
S 1.928 6.212 1.251
S -1.297 9.735 17.097
S 0.765 12.760 7.820
S 2.593 7.894 2.292
S 0.530 14.601 11.569
S 2.564 3.193 2.635
S 0.502 4.306 11.913
S -0.354 0.343 15.979
S 1.708 7.156 6.702
S -0.451 3.710 16.516
S 1.611 3.789 7.238
S -0.591 1.822 17.368
S 1.471 5.677 8.090
S 2.312 11.061 5.355
S 0.250 11.434 14.633
S 0.191 7.621 15.079
S 2.253 14.875 5.802
S 2.122 0.122 12.753
S 4.185 7.376 3.476
S 4.125 3.562 3.922
S 2.063 3.936 13.200
S 2.904 9.320 10.465
S 4.966 13.175 1.187
S 2.764 11.208 11.317
S 4.826 11.287 2.039
S 2.667 7.841 11.853
S 4.730 14.654 2.576
S 3.874 10.691 6.643
S 1.811 11.804 15.920
S 3.845 0.395 6.986
S 1.783 7.103 16.264
S 3.610 2.237 10.735
S 5.673 5.262 1.458
S 2.447 8.785 17.304
S 4.509 13.710 8.027
S 3.853 0.389 11.652
S 5.916 7.109 2.374
S 5.878 3.725 2.789
S 3.815 3.774 12.067
S 3.095 10.173 15.925
S 5.157 12.322 6.647
S 3.519 1.245 16.311
S 5.581 6.254 7.034
S 6.596 11.048 3.081
S 4.534 11.448 12.358
S 4.445 7.635 12.940
S 6.508 14.860 3.662
S 4.142 2.613 17.719
S 6.204 4.885 8.441
S 6.771 3.138 7.450
S 4.708 4.360 16.727
S 6.929 7.828 6.943
S 4.867 14.667 16.220



Run b
! PBE S, optimized geometry; values from VASP
! * ρ: 1.603 g/cm³
&SYSTEM
  ibrav = 0, nat = 104, ntyp = 1
/
ATOMIC_SPECIES
S 32.06 S.upf
CELL_PARAMETERS angstrom
14.019 0.000 0.000
0.000 13.618 0.000
-6.152 0.000 18.093
ATOMIC_POSITIONS angstrom
S -1.440 2.442 4.340
S -4.516 4.367 13.387
S -4.111 2.373 13.756
S -1.035 4.436 4.710
S -2.930 8.235 10.972
S 0.146 12.193 1.925
S -3.372 8.154 12.987
S -0.296 12.274 3.940
S -1.158 8.980 6.695
S -4.234 11.448 15.741
S -2.120 1.777 10.112
S 0.956 5.033 1.065
S -1.334 1.262 8.265
S -4.410 5.547 17.311
S -1.557 9.761 10.663
S 1.519 10.666 1.616
S -3.467 7.352 17.522
S -0.390 13.075 8.475
S 2.252 2.038 1.912
S -0.824 4.771 10.959
S -0.663 2.728 11.220
S 2.413 4.081 2.174
S 0.900 9.112 6.914
S -2.176 11.315 15.961
S 3.330 1.476 0.240
S 0.254 5.333 9.286
S 2.235 7.615 4.288
S -0.841 12.813 13.334
S 1.707 7.327 6.314
S -1.369 13.100 15.361
S 0.278 9.030 11.190
S 3.355 11.397 2.143
S 2.162 2.680 6.694
S -0.914 4.130 15.741
S -1.453 6.883 17.974
S 1.623 13.544 8.927
S 2.805 0.971 5.901
S -0.272 5.839 14.948
S 0.454 9.501 13.248
S 3.530 10.926 4.202
S -0.275 7.423 16.459
S 2.801 13.004 7.413
S 5.291 1.130 0.770
S 2.215 5.680 9.816
S 4.223 7.601 4.094
S 1.147 12.827 13.140
S 0.690 3.056 16.636
S 3.767 3.753 7.589
S 6.347 2.902 0.518
S 3.271 3.907 9.565
S 4.990 9.598 4.503
S 1.913 10.829 13.549
S 5.954 2.789 4.544
S 2.878 4.020 13.591
S 4.596 9.711 8.528
S 1.520 10.716 17.575
S 4.100 9.865 10.504
S 7.177 10.562 1.458
S 6.720 0.792 4.953
S 3.644 6.018 14.000
S 5.652 7.939 8.277
S 2.576 12.489 17.324
S 5.066 0.614 10.681
S 8.142 6.195 1.634
S 4.337 2.692 13.892
S 7.413 4.117 4.845
S 8.139 7.780 3.145
S 5.063 12.648 12.192
S 6.244 0.074 9.166
S 9.320 6.735 0.120
S 8.781 9.489 2.353
S 5.705 10.939 11.399
S 4.512 2.221 15.950
S 7.589 4.588 6.903
S 9.236 0.518 2.733
S 6.160 6.291 11.779
S 8.708 0.805 4.759
S 5.632 6.004 13.806
S 7.613 8.285 8.807
S 4.537 12.142 17.854
S 10.043 2.303 2.132
S 6.967 4.506 11.179
S 5.454 9.537 15.920
S 8.530 10.890 6.873
S 8.691 8.847 7.135
S 5.615 11.581 16.181
S 8.258 0.543 9.618
S 11.334 6.266 0.572
S 6.348 2.952 16.477
S 9.425 3.857 7.430
S 12.277 8.071 0.782
S 9.201 12.356 9.829
S 6.911 8.586 17.028
S 9.987 11.842 7.982
S 12.101 2.171 2.352
S 9.025 4.638 11.399
S 8.163 1.345 14.153
S 11.239 5.465 5.106
S 7.721 1.426 16.168
S 10.797 5.384 7.122
S 8.902 9.182 13.384
S 11.978 11.245 4.337
S 12.383 9.251 4.706
S 9.307 11.176 13.753



Run c
! PBE S, optimized geometry; values from VASP
! * ρ: 1.353 g/cm³
&SYSTEM
  ibrav = 0, nat = 4, ntyp = 1
/
ATOMIC_SPECIES
S 32.06 S.upf
CELL_PARAMETERS angstrom
7.978 0.000 0.000
0.000 5.302 0.000
-0.134 0.000 3.722
ATOMIC_POSITIONS angstrom
S 1.955 0.847 0.094
S 1.889 1.804 1.955
S 5.955 3.498 1.767
S 5.889 4.455 3.628



Run d
! PBE S, optimized geometry; values from VASP
! * ρ: 1.584 g/cm³
&SYSTEM
  ibrav = 0, nat = 28, ntyp = 1
/
ATOMIC_SPECIES
S 32.06 S.upf
CELL_PARAMETERS angstrom
6.059 0.000 0.000
-1.934 10.161 0.000
-2.150 -1.826 15.286
ATOMIC_POSITIONS angstrom
S -1.535 3.247 5.700
S -1.859 0.239 11.952
S -1.862 9.413 1.788
S -1.045 -0.731 10.325
S -0.901 5.188 5.381
S 0.278 3.635 1.271
S 0.371 -0.715 6.363
S -0.331 2.428 7.167
S 0.401 5.467 2.218
S 1.035 1.224 6.180
S 0.165 9.836 1.711
S 0.812 5.222 4.226
S -0.504 6.818 12.737
S 2.204 2.915 1.051
S -0.228 5.420 14.235
S 2.479 1.518 2.549
S 1.163 3.113 11.060
S 1.810 -1.500 13.575
S 0.940 7.111 9.106
S 1.575 2.869 13.068
S 2.306 5.907 8.119
S 1.605 9.050 8.923
S 1.697 4.700 14.015
S 2.876 3.148 9.905
S 3.020 9.066 4.962
S 3.838 -1.077 13.499
S 3.835 8.096 3.334
S 3.510 5.088 9.586



Energy relative to the most stable one, in meV/atom: run a 18; run b 9; run c 329; run d 0